Entry from the Materials Project: a relaxed structure of RbNa8Ga3As6 (GGA-PBE).

total moment = 0.07 μB per cell
energy = -3.151 eV/atom
ΔH_f (0 K) = -0.45 eV/atom

Cell lengths 23.102, 4.859, 17.059 Å; angles 90.00, 90.00, 90.00 degrees
Positions (direct):
1 Rb 0.002 0.250 0.191
2 Rb 0.498 0.750 0.691
3 Rb 0.502 0.250 0.309
4 Rb 0.998 0.750 0.809
5 Na 0.041 0.250 0.445
6 Na 0.052 0.250 0.967
7 Na 0.057 0.250 0.649
8 Na 0.159 0.750 0.918
9 Na 0.163 0.750 0.701
10 Na 0.179 0.250 0.079
11 Na 0.182 0.250 0.308
12 Na 0.191 0.250 0.542
13 Na 0.309 0.750 0.042
14 Na 0.318 0.750 0.808
15 Na 0.321 0.750 0.579
16 Na 0.337 0.250 0.201
17 Na 0.341 0.250 0.418
18 Na 0.443 0.750 0.149
19 Na 0.448 0.750 0.467
20 Na 0.459 0.750 0.945
21 Na 0.541 0.250 0.055
22 Na 0.552 0.250 0.533
23 Na 0.557 0.250 0.851
24 Na 0.659 0.750 0.582
25 Na 0.663 0.750 0.799
26 Na 0.679 0.250 0.421
27 Na 0.682 0.250 0.192
28 Na 0.691 0.250 0.958
29 Na 0.809 0.750 0.458
30 Na 0.818 0.750 0.692
31 Na 0.821 0.750 0.921
32 Na 0.837 0.250 0.299
33 Na 0.841 0.250 0.082
34 Na 0.943 0.750 0.351
35 Na 0.948 0.750 0.033
36 Na 0.959 0.750 0.555
37 Ga 0.128 0.750 0.191
38 Ga 0.136 0.750 0.431
39 Ga 0.215 0.250 0.809
40 Ga 0.285 0.750 0.309
41 Ga 0.364 0.250 0.931
42 Ga 0.372 0.250 0.691
43 Ga 0.628 0.750 0.309
44 Ga 0.636 0.750 0.069
45 Ga 0.715 0.250 0.691
46 Ga 0.785 0.750 0.191
47 Ga 0.864 0.250 0.569
48 Ga 0.872 0.250 0.809
49 As 0.075 0.750 0.315
50 As 0.083 0.750 0.064
51 As 0.089 0.750 0.556
52 As 0.113 0.250 0.808
53 As 0.233 0.750 0.185
54 As 0.240 0.750 0.438
55 As 0.260 0.250 0.938
56 As 0.267 0.250 0.685
57 As 0.387 0.750 0.308
58 As 0.411 0.250 0.056
59 As 0.417 0.250 0.564
60 As 0.425 0.250 0.815
61 As 0.575 0.750 0.185
62 As 0.583 0.750 0.436
63 As 0.589 0.750 0.944
64 As 0.613 0.250 0.692
65 As 0.733 0.750 0.315
66 As 0.740 0.750 0.062
67 As 0.760 0.250 0.562
68 As 0.767 0.250 0.815
69 As 0.887 0.750 0.192
70 As 0.911 0.250 0.444
71 As 0.917 0.250 0.936
72 As 0.925 0.250 0.685